# Sn2SI2

A relaxed structure of Sn2SI2 (PBE, the Materials Project).

Properties
Energy = -3.52 eV/atom
Energy of formation from the pure elements = -0.733 eV per atom

Cell lengths 18.4566, 4.4299, 26.5368 Å; angles 90.00, 90.00, 90.00 degrees
Closest atoms and distances in Å follow each position.
Space group Pnma (No. 62)
Symmetry-distinct sites (fractional):
Sn 0.0031 0.2500 0.2233 x4  3 S 2.62-2.80
Sn 0.0137 0.7500 0.0642 x4  1 S 2.63
Sn 0.0354 0.7500 0.5611 x4  3 S 2.65-2.79
Sn 0.1634 0.2500 0.8403 x4  3 S 2.67-2.78
Sn 0.1811 0.7500 0.6846 x4  1 S 2.62
Sn 0.1909 0.7500 0.4500 x4  1 S 2.62
S 0.0187 0.2500 0.8392 x4  4 Sn 2.63-2.80
S 0.0501 0.7500 0.4620 x4  4 Sn 2.62-2.79
S 0.1389 0.7500 0.7790 x4  4 Sn 2.62-2.78
I 0.0427 0.2500 0.6820 x4  4 Sn 3.38-3.45
I 0.1247 0.2500 0.0847 x4  2 Sn 3.07
I 0.1254 0.7500 0.9358 x4  4 Sn 3.39-3.44
I 0.1630 0.2500 0.3684 x4  2 Sn 3.14
I 0.1770 0.2500 0.5440 x4  4 Sn 3.35-3.45
I 0.2111 0.7500 0.2178 x4  2 Sn 3.11

=====

# Sn7S2I6

A relaxed structure of Sn7S2I6 (PBE, the Materials Project).

Properties
Energy = -3.37 eV/atom
Energy of formation from the pure elements = -0.560 eV per atom

Cell lengths 14.6630, 4.4660, 17.9802 Å; angles 90.00, 111.36, 90.00 degrees
Closest atoms and distances in Å follow each position.
Space group C2/m (No. 12)
Symmetry-distinct sites (fractional):
Sn 0.0000 0.0000 0.0000 x2  4 Sn 3.01
Sn 0.1007 0.5000 0.9476 x4  2 Sn 3.01, 2 I 3.07-3.31
Sn 0.1251 0.5000 0.4732 x4  3 S 2.64-2.77
Sn 0.2194 0.0000 0.2786 x4  1 S 2.68
S 0.1951 0.0000 0.4195 x4  4 Sn 2.64-2.77
I 0.0532 0.5000 0.2406 x4  3 Sn 3.19-3.31
I 0.1140 0.0000 0.6253 x4  4 Sn 3.30-3.58
I 0.2490 0.0000 0.8808 x4  1 Sn 3.07

=====

# TbSI

A relaxed structure of TbSI (PBE, the Materials Project).

Properties
Energy = -4.90 eV/atom
Energy of formation from the pure elements = -1.761 eV per atom

Cell lengths 4.5550, 4.5550, 5.1160 Å; angles 90.00, 90.00, 120.00 degrees
Closest atoms and distances in Å follow each position.
Space group P-6m2 (No. 187)
Symmetry-distinct sites (fractional):
Tb 0.0000 0.0000 0.0000 x1  3 S 2.63
S 0.3333 0.6667 0.0000 x1  3 Tb 2.63
I 0.6667 0.3333 0.5000 x1  6 Tb 3.67, 6 S 3.67

=====

# SbI3

A relaxed structure of SbI3 (PBE, the Materials Project).

Properties
Energy = -2.53 eV/atom
Energy of formation from the pure elements = -0.643 eV per atom

Cell lengths 7.6668, 7.6668, 22.9070 Å; angles 90.00, 90.00, 120.00 degrees
Closest atoms and distances in Å follow each position.
Space group R-3 (No. 148, hexagonal axes)
Symmetry-distinct sites (fractional):
Sb 0.0000 0.0000 0.1679 x6  6 I 3.03-3.09
I 0.0032 0.6463 0.4214 x18  2 Sb 3.03-3.09

=====

# SbI3

A relaxed structure of SbI3 (PBE, the Materials Project).

Properties
Energy = -2.49 eV/atom
Energy of formation from the pure elements = -0.597 eV per atom

Cell lengths 7.9123, 11.7159, 8.8749 Å; angles 90.00, 109.37, 90.00 degrees
Closest atoms and distances in Å follow each position.
Space group P2_1/c (No. 14)
Symmetry-distinct sites (fractional):
Sb 0.0476 0.1621 0.1760 x4  3 I 2.81-2.85
I 0.2067 0.6018 0.1799 x4  1 Sb 2.81
I 0.2118 0.5537 0.6964 x4  1 Sb 2.82
I 0.3171 0.2472 0.4528 x4  1 Sb 2.85

=====

# Sn3SbSe2I5

A relaxed structure of Sn3SbSe2I5 (PBE, the Materials Project).

Properties
Energy = -3.16 eV/atom
Energy of formation from the pure elements = -0.537 eV per atom

Cell lengths 14.3884, 4.3760, 12.7180 Å; angles 90.00, 98.41, 90.00 degrees
Closest atoms and distances in Å follow each position.
Space group Cm (No. 8)
Symmetry-distinct sites (fractional):
Sn 0.0000 0.0000 0.0000 x2  1 Se 2.91, 2 I 3.07
Sn 0.0240 0.0000 0.6550 x2  3 Se 2.75-2.91
Sn 0.2825 0.0000 0.6961 x2  3 Se 2.80-2.83
Sb 0.2986 0.0000 0.3542 x2  1 Se 2.79, 2 I 3.07
Se 0.3898 0.5000 0.7889 x2  4 Sn 2.75-2.91
Se 0.4121 0.0000 0.5519 x2  1 Sb 2.79, 3 Sn 2.80-2.91
I 0.1131 0.5000 0.8419 x2  4 Sn 3.34-3.53
I 0.1595 0.5000 0.1822 x2  2 Sb 3.51, 2 Sn 3.72, 1 I 3.82
I 0.1953 0.5000 0.4855 x2  2 Sb 3.24, 2 Sn 3.54
I 0.3583 0.0000 0.0357 x2  2 Sn 3.07
I 0.4371 0.5000 0.3096 x2  2 Sb 3.07